# 1
Compound: MgFe6O10F2
Source: Materials Project
Functional: GGA+U
Structure: optimized geometry

abc: 5.7126 5.7238 7.5296
angles: 71.07 71.16 64.70
Closest atoms and distances in Å follow each position.
Space group P1 (No. 1)
Inequivalent atoms, fractional coordinates:
Mg 0.0000 0.0000 0.0000  3 O 1.93-2.09, 1 F 2.00
Fe 0.0813 0.0737 0.6156  4 O 1.98-2.00, 2 F 2.02-2.06
Fe 0.1674 0.1588 0.2194  3 O 1.87-2.04, 1 F 2.06
Fe 0.4415 0.4370 0.2806  4 O 1.95-2.09
Fe 0.4420 0.4359 0.7800  5 O 1.92-1.99
Fe 0.7245 0.7172 0.4396  5 O 1.86-2.01
Fe 0.7283 0.7219 0.9455  6 O 2.00-2.14
O 0.0482 0.4115 0.4168  3 Fe 1.93-2.16
O 0.1154 0.7340 0.8057  3 Fe 1.92-2.14
O 0.3400 0.8229 0.1152  3 Fe 2.04-2.11, 1 Mg 2.09
O 0.3694 0.3609 0.0568  3 Fe 1.87-2.07
O 0.4188 0.0408 0.4171  3 Fe 1.93-2.15
O 0.5025 0.4970 0.4990  3 Fe 1.95-2.01
O 0.6616 0.6538 0.7255  3 Fe 1.99-2.00
O 0.7402 0.1090 0.8047  3 Fe 1.92-2.14
O 0.7940 0.7888 0.1726  2 Fe 1.86-2.04, 1 Mg 1.93
O 0.8289 0.3355 0.1159  3 Fe 2.04-2.10, 1 Mg 2.08
F 0.2025 0.1971 0.7816  1 Mg 2.00, 1 Fe 2.02
F 0.9602 0.9530 0.4420  3 Fe 2.06-2.28

## Properties
Formation enthalpy at 0 K (eV per atom): -1.704
Energy relative to the lowest polymorph listed for this composition (meV per atom): 67.6

---

# 2
Compound: MgFe3OF7
Source: Materials Project
Functional: GGA+U
Structure: optimized geometry

abc: 6.4213 6.4213 13.5144
angles: 90.00 90.00 120.00
Closest atoms and distances in Å follow each position.
Space group R3m (No. 160, hexagonal axes)
Inequivalent atoms, fractional coordinates:
Mg 0.0000 0.0000 0.0000  6 F 2.01-2.08
Fe 0.0118 0.5059 0.9881  1 O 1.95, 5 F 2.11-2.16
O 0.0000 0.0000 0.2644  3 Fe 1.95
F 0.0000 0.0000 0.7224  3 Fe 2.13
F 0.0133 0.5067 0.7352  1 Mg 2.01, 2 Fe 2.16
F 0.1715 0.3430 0.5896  1 Mg 2.08, 2 Fe 2.11

## Properties
Formation enthalpy at 0 K (eV per atom): -2.575
Energy relative to the lowest polymorph listed for this composition (meV per atom): 19.1

---

# 3
Compound: MgFe12O12F12
Source: Materials Project
Functional: GGA+U
Structure: optimized geometry

abc: 3.1359 9.6389 14.5410
angles: 89.96 88.63 88.91
Closest atoms and distances in Å follow each position.
Space group P1 (No. 1)
Inequivalent atoms, fractional coordinates:
Mg 0.0000 0.0000 0.0000  3 F 1.89-2.06, 2 O 2.02-2.07
Fe 0.1139 0.4857 0.1680  3 O 1.90-2.02, 1 F 2.08
Fe 0.1190 0.9862 0.8033  6 F 2.01-2.24
Fe 0.1211 0.4798 0.8162  3 O 1.86-1.97
Fe 0.1449 0.9792 0.4912  3 O 1.95-1.96, 3 F 2.12-2.19
Fe 0.1489 0.4971 0.5018  3 O 1.95-1.96, 3 F 2.10-2.15
Fe 0.2473 0.9939 0.1887  4 O 1.89-2.03
Fe 0.5662 0.7192 0.0131  3 O 1.87-2.07
Fe 0.6086 0.3140 0.9914  3 O 1.97-1.99
Fe 0.6378 0.7443 0.6376  3 O 1.93-1.96, 2 F 2.09-2.15
Fe 0.6415 0.2767 0.6503  3 O 1.92-1.93
Fe 0.6623 0.2523 0.3161  3 O 1.91-2.00
Fe 0.6711 0.7632 0.3306  3 O 1.95-1.96, 3 F 2.04-2.18
O 0.0706 0.6491 0.0689  2 Fe 1.87-1.91
O 0.1129 0.3548 0.9133  3 Fe 1.86-1.98
O 0.1382 0.8450 0.5928  3 Fe 1.95-1.96
O 0.1450 0.3374 0.5844  3 Fe 1.93-1.95
O 0.1583 0.3455 0.2712  3 Fe 1.91-2.02
O 0.1763 0.8343 0.2652  3 Fe 1.91-1.96
O 0.5079 0.9156 0.0705  2 Mg 2.02-2.07, 2 Fe 2.03-2.07
O 0.6233 0.4129 0.1112  3 Fe 1.90-1.99
O 0.6311 0.4092 0.7491  3 Fe 1.92-1.97
O 0.6402 0.5885 0.5539  3 Fe 1.93-1.96
O 0.6549 0.9010 0.4293  3 Fe 1.95-1.96
O 0.7252 0.0894 0.2309  3 Fe 1.89-2.00
F 0.0809 0.8356 0.9203  1 Mg 1.97
F 0.1283 0.6531 0.7198  3 Fe 2.15-2.18
F 0.1291 0.1706 0.0565  1 Mg 1.89
F 0.1361 0.1525 0.7196  3 Fe 2.01-2.23
F 0.1556 0.6471 0.3958  3 Fe 2.11-2.18
F 0.1619 0.1506 0.3976  3 Fe 2.14-2.20
F 0.5955 0.6061 0.8895  3 Fe 2.10-2.28
F 0.6056 0.0602 0.8958  1 Mg 2.06, 2 Fe 2.18-2.19
F 0.6279 0.8794 0.7504  3 Fe 2.02-2.09
F 0.6450 0.0921 0.5597  3 Fe 2.12-2.21
F 0.6507 0.5967 0.2439  2 Fe 2.04-2.08
F 0.6529 0.3996 0.4271  3 Fe 2.10-2.15

## Properties
Formation enthalpy at 0 K (eV per atom): -2.065
Energy relative to the lowest polymorph listed for this composition (meV per atom): 28.4